Record 1
Below is a relaxed Tb4MgGe4 crystal, with properties calculated at the PBE level.

```
Tb4MgGe4
1.0
7.270 0.000 0.000
0.000 14.667 0.000
0.000 0.000 7.821
Tb Mg Ge
16 4 16
direct
0.012 0.096 0.183
0.012 0.404 0.183
0.170 0.127 0.678
0.170 0.373 0.678
0.330 0.627 0.178
0.330 0.873 0.178
0.488 0.596 0.683
0.488 0.904 0.683
0.512 0.096 0.317
0.512 0.404 0.317
0.670 0.127 0.822
0.670 0.373 0.822
0.830 0.627 0.322
0.830 0.873 0.322
0.988 0.596 0.817
0.988 0.904 0.817
0.160 0.750 0.519
0.340 0.250 0.019
0.660 0.750 0.981
0.840 0.250 0.481
0.023 0.750 0.088
0.169 0.536 0.466
0.169 0.964 0.466
0.214 0.250 0.363
0.286 0.750 0.863
0.331 0.036 0.966
0.331 0.464 0.966
0.477 0.250 0.588
0.523 0.750 0.412
0.669 0.536 0.034
0.669 0.964 0.034
0.714 0.250 0.137
0.786 0.750 0.637
0.831 0.036 0.534
0.831 0.464 0.534
0.977 0.250 0.912
```

Properties
As for the volume: 208.47 Å³/f.u. For the total energy, the calculation gives -183.89 eV for the cell shown. The energy relative to the elements is -708 kJ/mol of formula units. As for the space group: Pnma, No. 62.

Record 2
Below is a relaxed ScGeRu crystal, with properties calculated at the PBE level.

```
ScGeRu
1.0
7.002 0.000 0.000
-3.501 6.064 0.000
0.000 0.000 3.484
Sc Ge Ru
3 3 3
direct
0.000 0.599 0.000
0.401 0.401 0.000
0.599 0.000 0.000
0.000 0.000 0.000
0.333 0.667 0.500
0.667 0.333 0.500
0.000 0.253 0.500
0.253 0.000 0.500
0.747 0.747 0.500
```

Properties
As for the volume: 49.31 Å³/f.u. For the total energy, the calculation gives -67.84 eV for the cell shown. The energy relative to the elements is -230 kJ/mol of formula units. As for the space group: P-62m, No. 189.

Record 3
Below is a relaxed Os2C6SO6 crystal, with properties calculated at the PBE level.

```
Os2C6SO6
1.0
8.572 0.000 0.000
3.445 8.657 0.000
1.005 2.150 14.307
Os C S O
8 24 4 24
direct
0.034 0.190 0.279
0.139 0.035 0.762
0.285 0.742 0.611
0.291 0.694 0.823
0.709 0.306 0.177
0.715 0.258 0.389
0.861 0.965 0.238
0.966 0.810 0.721
0.032 0.383 0.207
0.081 0.839 0.199
0.138 0.705 0.924
0.162 0.213 0.372
0.170 0.656 0.539
0.186 0.211 0.701
0.229 0.032 0.881
0.233 0.074 0.217
0.349 0.475 0.831
0.382 0.822 0.502
0.465 0.544 0.631
0.475 0.661 0.899
0.525 0.339 0.101
0.535 0.456 0.369
0.618 0.178 0.498
0.651 0.525 0.169
0.767 0.926 0.783
0.771 0.968 0.119
0.814 0.789 0.299
0.830 0.344 0.461
0.838 0.787 0.628
0.862 0.295 0.076
0.919 0.161 0.801
0.968 0.617 0.793
0.051 0.994 0.615
0.412 0.850 0.715
0.588 0.150 0.285
0.949 0.006 0.385
0.037 0.501 0.170
0.050 0.712 0.990
0.111 0.602 0.491
0.210 0.758 0.174
0.216 0.317 0.661
0.239 0.231 0.430
0.288 0.032 0.951
0.355 0.005 0.180
0.383 0.341 0.837
0.408 0.359 0.057
0.421 0.575 0.360
0.441 0.872 0.437
0.559 0.128 0.563
0.579 0.425 0.640
0.592 0.641 0.943
0.617 0.659 0.163
0.645 0.995 0.820
0.712 0.968 0.049
0.761 0.769 0.570
0.784 0.683 0.339
0.790 0.242 0.826
0.889 0.398 0.509
0.950 0.288 0.010
0.963 0.499 0.830
```

Properties
As for the volume: 265.40 Å³/f.u. For the total energy, the calculation gives -485.81 eV for the cell shown. The energy relative to the elements is -1392 kJ/mol of formula units. As for the space group: P-1, No. 2.